Record 1
A plane-wave DFT calculation with r2SCAN was carried out for Tb7CoI12 after structural relaxation. Values from VASP.

The structure in Quantum ESPRESSO input format:
```
&SYSTEM
  ibrav = 0, nat = 20, ntyp = 3
/
ATOMIC_SPECIES
Tb 158.93 Tb.upf
I 126.90 I.upf
Co 58.93 Co.upf
ATOMIC_POSITIONS angstrom
Tb -3.053 3.042 3.328
Tb -1.869 -0.949 1.552
Tb 0.954 1.468 1.933
Tb -4.237 7.033 5.103
Tb -7.060 4.616 4.722
Tb -1.552 1.938 -0.797
Tb -4.554 4.145 7.452
I -1.206 0.782 4.187
I -1.772 8.113 2.974
I -4.098 1.291 1.069
I -2.008 4.793 5.587
I -8.145 2.603 2.162
I -4.900 5.302 2.468
I 2.039 3.480 4.493
I -5.233 2.002 5.179
I -4.334 -2.029 3.682
I -2.435 1.591 8.327
I -3.671 4.493 -1.672
I -0.873 4.081 1.476
Co 0.000 0.000 0.000
CELL_PARAMETERS angstrom
-6.703 5.057 -4.833
-4.716 -5.381 6.531
5.313 6.408 4.957
```

Total energy = -27.750 eV/atom
Total moment = 0.00 μB/f.u.
Calculated volume = 38.0 Å³/atom
Space group = R-3

=====

Record 2
A plane-wave DFT calculation with r2SCAN was carried out for K3Rh after structural relaxation. Values from VASP.

The structure in Quantum ESPRESSO input format:
```
&SYSTEM
  ibrav = 0, nat = 8, ntyp = 2
/
ATOMIC_SPECIES
K 39.10 K.upf
Rh 102.91 Rh.upf
ATOMIC_POSITIONS angstrom
K 3.895 -4.206 4.134
K 5.589 1.271 1.378
K 3.895 4.205 1.378
K 2.201 1.271 1.378
K 2.201 -1.270 4.134
K 5.590 -1.270 4.134
Rh 3.895 -2.249 1.378
Rh 3.895 2.249 4.134
CELL_PARAMETERS angstrom
3.895 -6.747 0.000
3.895 6.747 0.000
0.000 0.000 5.512
```

Total energy = -9.927 eV/atom
Total moment = 0.07 μB/f.u.
Calculated volume = 36.2 Å³/atom
Space group = P6_3/mmc

=====

Record 3
A plane-wave DFT calculation with r2SCAN was carried out for Pu3Se4 after structural relaxation. Values from VASP.

The structure in Quantum ESPRESSO input format:
```
&SYSTEM
  ibrav = 0, nat = 14, ntyp = 2
/
ATOMIC_SPECIES
Pu 244.00 Pu.upf
Se 78.96 Se.upf
ATOMIC_POSITIONS angstrom
Pu 0.282 -3.208 3.923
Pu -1.298 -4.875 0.478
Pu -0.757 0.274 5.902
Pu -3.583 -2.289 2.762
Pu -5.350 -2.427 -0.987
Pu 2.813 -5.253 0.196
Se -0.926 -2.088 1.437
Se -3.255 0.402 3.985
Se 0.948 -3.312 -1.086
Se 2.974 -3.290 2.661
Se -3.591 -0.375 0.247
Se -2.243 -5.049 3.486
Se -6.436 -1.355 1.772
Se -2.074 -2.365 5.529
CELL_PARAMETERS angstrom
4.080 -6.273 -1.667
0.662 1.550 7.479
-7.373 -1.203 -1.721
```

Total energy = -47.214 eV/atom
Total moment = 16.00 μB/f.u.
Calculated volume = 24.8 Å³/atom
Space group = I2_12_12_1

=====

Record 4
A plane-wave DFT calculation with r2SCAN was carried out for ErInPt2 after structural relaxation. Values from VASP.

The structure in Quantum ESPRESSO input format:
```
&SYSTEM
  ibrav = 0, nat = 4, ntyp = 3
/
ATOMIC_SPECIES
Pt 195.08 Pt.upf
In 114.82 In.upf
Er 167.26 Er.upf
ATOMIC_POSITIONS angstrom
Pt 5.040 5.040 5.040
Pt 1.680 1.680 1.680
In 0.000 0.000 0.000
Er 3.360 3.360 3.360
CELL_PARAMETERS angstrom
0.000 3.360 3.360
3.360 0.000 3.360
3.360 3.360 0.000
```

Total energy = -40.912 eV/atom
Total moment = 0.00 μB/f.u.
Calculated volume = 19.0 Å³/atom
Space group = Fm-3m

=====

- Look up the calculated volume of the fourth one.
  19.0 Å³/atom